No. 1
Here is a relaxed Mo2P3O12 crystal from the Materials Project database. Energies are from meta-GGA r2SCAN.

Lattice parameters (Å, degrees): 8.8491 8.8491 8.8491 58.59 58.59 58.59
Atoms (fractional coordinates):
Mo 0.1419 0.1419 0.1419
Mo 0.3581 0.3581 0.3581
Mo 0.6419 0.6419 0.6419
Mo 0.8581 0.8581 0.8581
P 0.0344 0.7500 0.4656
P 0.2500 0.5344 0.9656
P 0.4656 0.0344 0.7500
P 0.5344 0.9656 0.2500
P 0.7500 0.4656 0.0344
P 0.9656 0.2500 0.5344
O 0.0054 0.7790 0.6356
O 0.0610 0.9214 0.2890
O 0.0786 0.7110 0.9390
O 0.1356 0.2790 0.5054
O 0.2110 0.5786 0.4390
O 0.2210 0.3644 0.9946
O 0.2790 0.5054 0.1356
O 0.2890 0.0610 0.9214
O 0.3644 0.9946 0.2210
O 0.4214 0.5610 0.7890
O 0.4390 0.2110 0.5786
O 0.4946 0.8644 0.7210
O 0.5054 0.1356 0.2790
O 0.5610 0.7890 0.4214
O 0.5786 0.4390 0.2110
O 0.6356 0.0054 0.7790
O 0.7110 0.9390 0.0786
O 0.7210 0.4946 0.8644
O 0.7790 0.6356 0.0054
O 0.7890 0.4214 0.5610
O 0.8644 0.7210 0.4946
O 0.9214 0.2890 0.0610
O 0.9390 0.0786 0.7110
O 0.9946 0.2210 0.3644

## Properties
Formation enthalpy at 0 K in meV per atom: -2262
Space group: R-3c

=====

No. 2
Here is a relaxed Rb3TiF6 crystal from the Materials Project database. Energies are from meta-GGA r2SCAN.

Lattice parameters (Å, degrees): 6.4569 6.4569 6.4569 119.46 119.46 90.94
Atoms (fractional coordinates):
Rb 0.0000 0.0000 0.0000
Rb 0.2500 0.7500 0.5000
Rb 0.7500 0.2500 0.5000
Ti 0.5000 0.5000 0.0000
F 0.2828 0.2828 0.5656
F 0.2828 0.7172 0.0000
F 0.2873 0.2873 0.0000
F 0.7127 0.7127 0.0000
F 0.7172 0.2828 0.0000
F 0.7172 0.7172 0.4344

## Properties
Formation enthalpy at 0 K in meV per atom: -3255
Space group: I4/mmm

=====

No. 3
Here is a relaxed SiO2 crystal from the Materials Project database. Energies are from meta-GGA r2SCAN.

Lattice parameters (Å, degrees): 7.4431 14.1474 18.7257 90.00 90.00 90.00
Atoms (fractional coordinates):
Si 0.0000 0.0000 0.1524
Si 0.0000 0.0000 0.8476
Si 0.0116 0.2003 0.0830
Si 0.0116 0.2003 0.9170
Si 0.1897 0.7917 0.3167
Si 0.1897 0.7917 0.6833
Si 0.2088 0.4997 0.2261
Si 0.2088 0.4997 0.7739
Si 0.2222 0.1975 0.3342
Si 0.2222 0.1975 0.6658
Si 0.2778 0.6975 0.1658
Si 0.2778 0.6975 0.8342
Si 0.2912 0.9997 0.2739
Si 0.2912 0.9997 0.7261
Si 0.3103 0.2917 0.1833
Si 0.3103 0.2917 0.8167
Si 0.4884 0.7003 0.4170
Si 0.4884 0.7003 0.5830
Si 0.5000 0.5000 0.3476
Si 0.5000 0.5000 0.6524
Si 0.5116 0.2997 0.4170
Si 0.5116 0.2997 0.5830
Si 0.6897 0.7083 0.1833
Si 0.6897 0.7083 0.8167
Si 0.7088 0.0003 0.2739
Si 0.7088 0.0003 0.7261
Si 0.7222 0.3025 0.1658
Si 0.7222 0.3025 0.8342
Si 0.7778 0.8025 0.3342
Si 0.7778 0.8025 0.6658
Si 0.7912 0.5003 0.2261
Si 0.7912 0.5003 0.7739
Si 0.8103 0.2083 0.3167
Si 0.8103 0.2083 0.6833
Si 0.9884 0.7997 0.0830
Si 0.9884 0.7997 0.9170
O 0.0000 0.5000 0.2486
O 0.0000 0.5000 0.7514
O 0.0127 0.2211 0.3453
O 0.0127 0.2211 0.6547
O 0.0252 0.9088 0.1025
O 0.0252 0.9088 0.8975
O 0.0611 0.2095 0.0000
O 0.1668 0.7381 0.0989
O 0.1668 0.7381 0.9011
O 0.1753 0.0140 0.2020
O 0.1753 0.0140 0.7980
O 0.1774 0.2384 0.1297
O 0.1774 0.2384 0.8703
O 0.2024 0.7468 0.2377
O 0.2024 0.7468 0.7623
O 0.2403 0.9023 0.3131
O 0.2403 0.9023 0.6869
O 0.2501 0.0846 0.3289
O 0.2501 0.0846 0.6711
O 0.2499 0.5846 0.1711
O 0.2499 0.5846 0.8289
O 0.2597 0.4023 0.1869
O 0.2597 0.4023 0.8131
O 0.2976 0.2468 0.2623
O 0.2976 0.2468 0.7377
O 0.3226 0.7384 0.3703
O 0.3226 0.7384 0.6297
O 0.3247 0.5140 0.2980
O 0.3247 0.5140 0.7020
O 0.3332 0.2381 0.4011
O 0.3332 0.2381 0.5989
O 0.4389 0.7095 0.5000
O 0.4748 0.4088 0.3975
O 0.4748 0.4088 0.6025
O 0.4873 0.7211 0.1547
O 0.4873 0.7211 0.8453
O 0.5000 0.0000 0.2514
O 0.5000 0.0000 0.7486
O 0.5127 0.2789 0.1547
O 0.5127 0.2789 0.8453
O 0.5252 0.5912 0.3975
O 0.5252 0.5912 0.6025
O 0.5611 0.2905 0.5000
O 0.6668 0.7619 0.4011
O 0.6668 0.7619 0.5989
O 0.6753 0.4860 0.2980
O 0.6753 0.4860 0.7020
O 0.6774 0.2616 0.3703
O 0.6774 0.2616 0.6297
O 0.7024 0.7532 0.2623
O 0.7024 0.7532 0.7377
O 0.7403 0.5977 0.1869
O 0.7403 0.5977 0.8131
O 0.7501 0.4154 0.1711
O 0.7501 0.4154 0.8289
O 0.7499 0.9154 0.3289
O 0.7499 0.9154 0.6711
O 0.7597 0.0977 0.3131
O 0.7597 0.0977 0.6869
O 0.7976 0.2532 0.2377
O 0.7976 0.2532 0.7623
O 0.8226 0.7616 0.1297
O 0.8226 0.7616 0.8703
O 0.8247 0.9860 0.2020
O 0.8247 0.9860 0.7980
O 0.8332 0.2619 0.0989
O 0.8332 0.2619 0.9011
O 0.9389 0.7905 0.0000
O 0.9748 0.0912 0.1025
O 0.9748 0.0912 0.8975
O 0.9873 0.7789 0.3453
O 0.9873 0.7789 0.6547

## Properties
Formation enthalpy at 0 K in meV per atom: -3021
Space group: Pnnm

=====

No. 4
Here is a relaxed HgBrCl crystal from the Materials Project database. Energies are from meta-GGA r2SCAN.

Lattice parameters (Å, degrees): 4.1754 6.9704 13.1331 90.00 90.00 90.00
Atoms (fractional coordinates):
Hg 0.0714 0.1023 0.3718
Hg 0.4286 0.8977 0.8718
Hg 0.5714 0.3977 0.6282
Hg 0.9286 0.6023 0.1282
Br 0.2097 0.3200 0.7692
Br 0.2903 0.6800 0.2692
Br 0.7097 0.1800 0.2308
Br 0.7903 0.8200 0.7308
Cl 0.0819 0.9855 0.0039
Cl 0.4181 0.0145 0.5039
Cl 0.5819 0.5145 0.9961
Cl 0.9181 0.4855 0.4961

## Properties
Formation enthalpy at 0 K in meV per atom: -612
Space group: P2_12_12_1

=====

No. 5
Here is a relaxed HoAl10Fe2 crystal from the Materials Project database. Energies are from meta-GGA r2SCAN.

Lattice parameters (Å, degrees): 6.6981 6.6981 8.8694 90.00 90.00 97.40
Atoms (fractional coordinates):
Ho 0.1257 0.8743 0.7500
Ho 0.8743 0.1257 0.2500
Al 0.1338 0.4137 0.7500
Al 0.1587 0.8413 0.0970
Al 0.1587 0.8413 0.4030
Al 0.2189 0.4789 0.2500
Al 0.2279 0.2279 0.0000
Al 0.2279 0.2279 0.5000
Al 0.3745 0.6255 0.5494
Al 0.3745 0.6255 0.9506
Al 0.4137 0.1338 0.2500
Al 0.4789 0.2189 0.7500
Al 0.5211 0.7811 0.2500
Al 0.5863 0.8662 0.7500
Al 0.6255 0.3745 0.0494
Al 0.6255 0.3745 0.4506
Al 0.7721 0.7721 0.0000
Al 0.7721 0.7721 0.5000
Al 0.7811 0.5211 0.7500
Al 0.8413 0.1587 0.5970
Al 0.8413 0.1587 0.9030
Al 0.8662 0.5863 0.2500
Fe 0.0000 0.5000 0.0000
Fe 0.0000 0.5000 0.5000
Fe 0.5000 0.0000 0.0000
Fe 0.5000 0.0000 0.5000

## Properties
Formation enthalpy at 0 K in meV per atom: -311
Space group: Cmcm

=====

No. 6
Here is a relaxed CeErIn2 crystal from the Materials Project database. Energies are from meta-GGA r2SCAN.

Lattice parameters (Å, degrees): 5.3695 5.3695 5.3695 60.00 60.00 60.00
Atoms (fractional coordinates):
Ce 0.0000 0.0000 0.0000
Er 0.5000 0.5000 0.5000
In 0.2500 0.2500 0.2500
In 0.7500 0.7500 0.7500

## Properties
Formation enthalpy at 0 K in meV per atom: -466
Space group: Fm-3m

=====

No. 7
Here is a relaxed Sm2CuO4 crystal from the Materials Project database. Energies are from meta-GGA r2SCAN.

Lattice parameters (Å, degrees): 6.6090 6.6090 6.6090 145.61 145.61 49.42
Atoms (fractional coordinates):
Sm 0.1497 0.1497 0.0000
Sm 0.8503 0.8503 0.0000
Cu 0.5000 0.5000 0.0000
O 0.0000 0.5000 0.5000
O 0.2500 0.7500 0.5000
O 0.5000 0.0000 0.5000
O 0.7500 0.2500 0.5000

## Properties
Formation enthalpy at 0 K in meV per atom: -2915
Space group: I4/mmm

=====

No. 8
Here is a relaxed Re2Cl5O4 crystal from the Materials Project database. Energies are from meta-GGA r2SCAN.

Lattice parameters (Å, degrees): 5.5913 6.3691 8.5251 110.04 106.35 94.11
Atoms (fractional coordinates):
Re 0.0000 0.0000 0.0000
Re 0.0811 0.5626 0.5540
Cl 0.2306 0.8789 0.1957
Cl 0.3058 0.9193 0.6342
Cl 0.3639 0.5368 0.7970
Cl 0.7433 0.6655 0.3916
Cl 0.7990 0.2907 0.5614
O 0.1621 0.2404 0.0051
O 0.1889 0.4084 0.3942
O 0.7271 0.0582 0.0439
O 0.9256 0.7889 0.7916

## Properties
Formation enthalpy at 0 K in meV per atom: -1107
ΔE to the lowest computed polymorph in meV/atom: 10
Space group: P1

=====

No. 9
Here is a relaxed PuP2H6C2O6 crystal from the Materials Project database. Energies are from meta-GGA r2SCAN.

Lattice parameters (Å, degrees): 8.0351 10.7256 9.5053 90.00 92.76 90.00
Atoms (fractional coordinates):
Pu 0.0802 0.1064 0.2670
Pu 0.0802 0.3936 0.7670
Pu 0.9198 0.6064 0.2330
Pu 0.9198 0.8936 0.7330
P 0.1811 0.6558 0.5573
P 0.1811 0.8442 0.0573
P 0.2310 0.1128 0.6192
P 0.2310 0.3872 0.1192
P 0.7690 0.6128 0.8808
P 0.7690 0.8872 0.3808
P 0.8189 0.1558 0.9427
P 0.8189 0.3442 0.4427
H 0.3587 0.6973 0.9536
H 0.3587 0.8027 0.4536
H 0.3784 0.0344 0.8211
H 0.3784 0.4656 0.3211
H 0.3920 0.5683 0.1754
H 0.3920 0.9317 0.6754
H 0.4480 0.6514 0.4555
H 0.4480 0.8486 0.9555
H 0.4537 0.7414 0.6116
H 0.4537 0.7586 0.1116
H 0.4833 0.5677 0.8137
H 0.4833 0.9323 0.3137
H 0.5167 0.0677 0.6863
H 0.5167 0.4323 0.1863
H 0.5463 0.2414 0.8884
H 0.5463 0.2586 0.3884
H 0.5520 0.1514 0.0445
H 0.5520 0.3486 0.5445
H 0.6080 0.0683 0.3246
H 0.6080 0.4317 0.8246
H 0.6216 0.5344 0.6789
H 0.6216 0.9656 0.1789
H 0.6413 0.1973 0.5464
H 0.6413 0.3027 0.0464
C 0.3787 0.7184 0.5165
C 0.3787 0.7816 0.0165
C 0.3955 0.0290 0.7081
C 0.3955 0.4710 0.2081
C 0.6045 0.5290 0.7919
C 0.6045 0.9710 0.2919
C 0.6213 0.2184 0.9835
C 0.6213 0.2816 0.4835
O 0.0656 0.0513 0.6533
O 0.0656 0.4487 0.1533
O 0.0825 0.7417 0.1278
O 0.0825 0.7583 0.6278
O 0.0945 0.6149 0.4184
O 0.0945 0.8851 0.9184
O 0.2133 0.5442 0.6553
O 0.2133 0.9558 0.1553
O 0.2382 0.2474 0.6735
O 0.2382 0.2526 0.1735
O 0.2538 0.1078 0.4603
O 0.2538 0.3922 0.9603
O 0.7462 0.6078 0.0397
O 0.7462 0.8922 0.5397
O 0.7618 0.7474 0.8265
O 0.7618 0.7526 0.3265
O 0.7867 0.0442 0.8447
O 0.7867 0.4558 0.3447
O 0.9055 0.1149 0.0816
O 0.9055 0.3851 0.5816
O 0.9175 0.2417 0.3722
O 0.9175 0.2583 0.8722
O 0.9344 0.5513 0.8467
O 0.9344 0.9487 0.3467

## Properties
Formation enthalpy at 0 K in meV per atom: -1585
Space group: P2_1/c

=====

No. 10
Here is a relaxed SrGd2O4 crystal from the Materials Project database. Energies are from meta-GGA r2SCAN.

Lattice parameters (Å, degrees): 10.1449 3.4693 12.0677 90.00 90.00 90.00
Atoms (fractional coordinates):
Sr 0.2490 0.2500 0.1490
Sr 0.2510 0.7500 0.6490
Sr 0.7490 0.2500 0.3510
Sr 0.7510 0.7500 0.8510
Gd 0.0753 0.2500 0.8879
Gd 0.0814 0.2500 0.3886
Gd 0.4186 0.7500 0.8886
Gd 0.4247 0.7500 0.3879
Gd 0.5753 0.2500 0.6121
Gd 0.5814 0.2500 0.1114
Gd 0.9186 0.7500 0.6114
Gd 0.9247 0.7500 0.1121
O 0.0110 0.7500 0.7836
O 0.0732 0.2500 0.5790
O 0.1296 0.7500 0.0190
O 0.2139 0.7500 0.3198
O 0.2861 0.2500 0.8198
O 0.3704 0.2500 0.5190
O 0.4268 0.7500 0.0790
O 0.4890 0.2500 0.2836
O 0.5110 0.7500 0.7164
O 0.5732 0.2500 0.9210
O 0.6296 0.7500 0.4810
O 0.7139 0.7500 0.1802
O 0.7861 0.2500 0.6802
O 0.8704 0.2500 0.9810
O 0.9268 0.7500 0.4210
O 0.9890 0.2500 0.2164

## Properties
Formation enthalpy at 0 K in meV per atom: -3527
Space group: Pnma

=====

No. 11
Here is a relaxed Tb2IrPd crystal from the Materials Project database. Energies are from meta-GGA r2SCAN.

Lattice parameters (Å, degrees): 4.8871 4.8871 4.8871 60.00 60.00 60.00
Atoms (fractional coordinates):
Tb 0.2500 0.2500 0.2500
Tb 0.7500 0.7500 0.7500
Ir 0.0000 0.0000 0.0000
Pd 0.5000 0.5000 0.5000

## Properties
Formation enthalpy at 0 K in meV per atom: -967
Space group: Fm-3m

=====

No. 12
Here is a relaxed Ti3PdO crystal from the Materials Project database. Energies are from meta-GGA r2SCAN.

Lattice parameters (Å, degrees): 5.8543 5.8543 5.8543 122.00 122.00 86.57
Atoms (fractional coordinates):
Ti 0.2016 0.7016 0.9032
Ti 0.2500 0.2500 0.0000
Ti 0.2984 0.2016 0.5000
Ti 0.7016 0.7984 0.5000
Ti 0.7500 0.7500 0.0000
Ti 0.7984 0.2984 0.0968
Pd 0.2500 0.7500 0.5000
Pd 0.7500 0.2500 0.5000
O 0.0000 0.0000 0.0000
O 0.5000 0.5000 0.0000

## Properties
Formation enthalpy at 0 K in meV per atom: -1403
Space group: I4/mcm

=====

No. 13
Here is a relaxed Ag2Se crystal from the Materials Project database. Energies are from meta-GGA r2SCAN.

Lattice parameters (Å, degrees): 7.1729 4.8887 6.9879 90.00 90.00 90.00
Atoms (fractional coordinates):
Ag 0.0795 0.2500 0.1989
Ag 0.1056 0.7500 0.4287
Ag 0.3944 0.2500 0.9287
Ag 0.4205 0.7500 0.6989
Ag 0.5795 0.2500 0.3011
Ag 0.6056 0.7500 0.0713
Ag 0.8944 0.2500 0.5713
Ag 0.9205 0.7500 0.8011
Se 0.2169 0.7500 0.0308
Se 0.2831 0.2500 0.5308
Se 0.7169 0.7500 0.4692
Se 0.7831 0.2500 0.9692

## Properties
Formation enthalpy at 0 K in meV per atom: -121
Space group: Pnma